# CaCr2N4, optimized geometry, DFT PBE
# DFT formation energy (meV/atom): -698
# Crystal system: cubic
# M_tot (μB/f.u.): 2.0
# Space group: Pa-3 (205)
# E_tot (eV/atom): -8.30
data_CaCr2N4
_cell_length_a 10.227
_cell_length_b 10.227
_cell_length_c 10.227
_cell_angle_alpha 90.00
_cell_angle_beta 90.00
_cell_angle_gamma 90.00
_space_group_name_H-M_alt 'P 1'
_space_group_IT_number 1
_space_group_name_Hall 'P 1'
loop_
_atom_site_label
_atom_site_type_symbol
_atom_site_fract_x
_atom_site_fract_y
_atom_site_fract_z
Ca1 Ca 0.500 0.500 0.000
Ca2 Ca 0.500 0.000 0.500
Ca3 Ca 0.000 0.500 0.500
Ca4 Ca 0.000 0.000 0.000
Ca5 Ca 0.123 0.877 0.377
Ca6 Ca 0.877 0.377 0.123
Ca7 Ca 0.377 0.123 0.877
Ca8 Ca 0.623 0.623 0.623
Ca9 Ca 0.877 0.123 0.623
Ca10 Ca 0.123 0.623 0.877
Ca11 Ca 0.623 0.877 0.123
Ca12 Ca 0.377 0.377 0.377
Cr1 Cr 0.376 0.702 0.364
Cr2 Cr 0.624 0.202 0.136
Cr3 Cr 0.124 0.298 0.864
Cr4 Cr 0.876 0.798 0.636
Cr5 Cr 0.364 0.376 0.702
Cr6 Cr 0.136 0.624 0.202
Cr7 Cr 0.864 0.124 0.298
Cr8 Cr 0.636 0.876 0.798
Cr9 Cr 0.702 0.364 0.376
Cr10 Cr 0.202 0.136 0.624
Cr11 Cr 0.298 0.864 0.124
Cr12 Cr 0.798 0.636 0.876
Cr13 Cr 0.624 0.298 0.636
Cr14 Cr 0.376 0.798 0.864
Cr15 Cr 0.876 0.702 0.136
Cr16 Cr 0.124 0.202 0.364
Cr17 Cr 0.636 0.624 0.298
Cr18 Cr 0.864 0.376 0.798
Cr19 Cr 0.136 0.876 0.702
Cr20 Cr 0.364 0.124 0.202
Cr21 Cr 0.298 0.636 0.624
Cr22 Cr 0.798 0.864 0.376
Cr23 Cr 0.702 0.136 0.876
Cr24 Cr 0.202 0.364 0.124
N1 N 0.359 0.858 0.286
N2 N 0.641 0.358 0.214
N3 N 0.141 0.142 0.786
N4 N 0.859 0.642 0.714
N5 N 0.286 0.359 0.858
N6 N 0.214 0.641 0.358
N7 N 0.786 0.141 0.142
N8 N 0.714 0.859 0.642
N9 N 0.858 0.286 0.359
N10 N 0.358 0.214 0.641
N11 N 0.142 0.786 0.141
N12 N 0.642 0.714 0.859
N13 N 0.641 0.142 0.714
N14 N 0.359 0.642 0.786
N15 N 0.859 0.858 0.214
N16 N 0.141 0.358 0.286
N17 N 0.714 0.641 0.142
N18 N 0.786 0.359 0.642
N19 N 0.214 0.859 0.858
N20 N 0.286 0.141 0.358
N21 N 0.142 0.714 0.641
N22 N 0.642 0.786 0.359
N23 N 0.858 0.214 0.859
N24 N 0.358 0.286 0.141
N25 N 0.422 0.722 0.529
N26 N 0.578 0.222 0.971
N27 N 0.078 0.278 0.029
N28 N 0.922 0.778 0.471
N29 N 0.529 0.422 0.722
N30 N 0.971 0.578 0.222
N31 N 0.029 0.078 0.278
N32 N 0.471 0.922 0.778
N33 N 0.722 0.529 0.422
N34 N 0.222 0.971 0.578
N35 N 0.278 0.029 0.078
N36 N 0.778 0.471 0.922
N37 N 0.578 0.278 0.471
N38 N 0.422 0.778 0.029
N39 N 0.922 0.722 0.971
N40 N 0.078 0.222 0.529
N41 N 0.471 0.578 0.278
N42 N 0.029 0.422 0.778
N43 N 0.971 0.922 0.722
N44 N 0.529 0.078 0.222
N45 N 0.278 0.471 0.578
N46 N 0.778 0.029 0.422
N47 N 0.722 0.971 0.922
N48 N 0.222 0.529 0.078

# Ca7CrN6, optimized geometry, DFT PBE
# DFT formation energy (meV/atom): -992
# Crystal system: orthorhombic
# M_tot (μB/f.u.): 2.0
# Space group: Pbcn (60)
# E_tot (eV/atom): -6.10
data_Ca7CrN6
_cell_length_a 11.038
_cell_length_b 6.251
_cell_length_c 12.979
_cell_angle_alpha 90.00
_cell_angle_beta 90.00
_cell_angle_gamma 90.00
_space_group_name_H-M_alt 'P 1'
_space_group_IT_number 1
_space_group_name_Hall 'P 1'
loop_
_atom_site_label
_atom_site_type_symbol
_atom_site_fract_x
_atom_site_fract_y
_atom_site_fract_z
Ca1 Ca 0.036 0.732 0.978
Ca2 Ca 0.464 0.768 0.478
Ca3 Ca 0.536 0.768 0.022
Ca4 Ca 0.964 0.732 0.522
Ca5 Ca 0.964 0.268 0.022
Ca6 Ca 0.536 0.232 0.522
Ca7 Ca 0.464 0.232 0.978
Ca8 Ca 0.036 0.268 0.478
Ca9 Ca 0.228 0.849 0.625
Ca10 Ca 0.272 0.651 0.125
Ca11 Ca 0.728 0.651 0.375
Ca12 Ca 0.772 0.849 0.875
Ca13 Ca 0.772 0.151 0.375
Ca14 Ca 0.728 0.349 0.875
Ca15 Ca 0.272 0.349 0.625
Ca16 Ca 0.228 0.151 0.125
Ca17 Ca 0.291 0.610 0.879
Ca18 Ca 0.209 0.890 0.379
Ca19 Ca 0.791 0.890 0.121
Ca20 Ca 0.709 0.610 0.621
Ca21 Ca 0.709 0.390 0.121
Ca22 Ca 0.791 0.110 0.621
Ca23 Ca 0.209 0.110 0.879
Ca24 Ca 0.291 0.390 0.379
Ca25 Ca 0.000 0.442 0.750
Ca26 Ca 0.500 0.058 0.250
Ca27 Ca 0.000 0.558 0.250
Ca28 Ca 0.500 0.942 0.750
Cr1 Cr 0.000 0.936 0.750
Cr2 Cr 0.500 0.564 0.250
Cr3 Cr 0.000 0.064 0.250
Cr4 Cr 0.500 0.436 0.750
N1 N 0.125 0.764 0.794
N2 N 0.375 0.736 0.294
N3 N 0.625 0.736 0.206
N4 N 0.875 0.764 0.706
N5 N 0.875 0.236 0.206
N6 N 0.625 0.264 0.706
N7 N 0.375 0.264 0.794
N8 N 0.125 0.236 0.294
N9 N 0.165 0.588 0.503
N10 N 0.335 0.912 0.003
N11 N 0.665 0.912 0.497
N12 N 0.835 0.588 0.997
N13 N 0.835 0.412 0.497
N14 N 0.665 0.088 0.997
N15 N 0.335 0.088 0.503
N16 N 0.165 0.412 0.003
N17 N 0.448 0.605 0.644
N18 N 0.052 0.895 0.144
N19 N 0.948 0.895 0.356
N20 N 0.552 0.605 0.856
N21 N 0.552 0.395 0.356
N22 N 0.948 0.105 0.856
N23 N 0.052 0.105 0.644
N24 N 0.448 0.395 0.144

# Ca2CrN3, optimized geometry, DFT PBE
# DFT formation energy (meV/atom): -1131
# Crystal system: orthorhombic
# Space group: Cmce (64)
# E_tot (eV/atom): -7.40
# Distance to the lowest polymorph of the same formula (meV/atom): 0
data_Ca2CrN3
_cell_length_a 5.909
_cell_length_b 5.909
_cell_length_c 11.658
_cell_angle_alpha 90.00
_cell_angle_beta 90.00
_cell_angle_gamma 124.58
_space_group_name_H-M_alt 'P 1'
_space_group_IT_number 1
_space_group_name_Hall 'P 1'
loop_
_atom_site_label
_atom_site_type_symbol
_atom_site_fract_x
_atom_site_fract_y
_atom_site_fract_z
Ca1 Ca 0.550 0.450 0.642
Ca2 Ca 0.450 0.550 0.358
Ca3 Ca 0.950 0.050 0.142
Ca4 Ca 0.050 0.950 0.858
Ca5 Ca 0.858 0.142 0.580
Ca6 Ca 0.142 0.858 0.420
Ca7 Ca 0.642 0.358 0.080
Ca8 Ca 0.358 0.642 0.920
Cr1 Cr 0.745 0.255 0.839
Cr2 Cr 0.255 0.745 0.161
Cr3 Cr 0.755 0.245 0.339
Cr4 Cr 0.245 0.755 0.661
N1 N 0.844 0.156 0.963
N2 N 0.156 0.844 0.037
N3 N 0.656 0.344 0.463
N4 N 0.344 0.656 0.537
N5 N 0.581 0.419 0.867
N6 N 0.419 0.581 0.133
N7 N 0.919 0.081 0.367
N8 N 0.081 0.919 0.633
N9 N 0.538 0.962 0.750
N10 N 0.962 0.538 0.250
N11 N 0.462 0.038 0.250
N12 N 0.038 0.462 0.750

# Ca11Cr2N10, optimized geometry, DFT PBE
# DFT formation energy (meV/atom): -675
# Crystal system: tetragonal
# M_tot (μB/f.u.): 4.3
# Space group: P4_2/mnm (136)
# E_tot (eV/atom): -5.94
data_Ca11Cr2N10
_cell_length_a 15.183
_cell_length_b 15.183
_cell_length_c 3.573
_cell_angle_alpha 90.00
_cell_angle_beta 90.00
_cell_angle_gamma 90.00
_space_group_name_H-M_alt 'P 1'
_space_group_IT_number 1
_space_group_name_Hall 'P 1'
loop_
_atom_site_label
_atom_site_type_symbol
_atom_site_fract_x
_atom_site_fract_y
_atom_site_fract_z
Ca1 Ca 0.500 0.500 0.500
Ca2 Ca 0.000 0.000 0.000
Ca3 Ca 0.973 0.800 0.500
Ca4 Ca 0.027 0.200 0.500
Ca5 Ca 0.527 0.300 0.000
Ca6 Ca 0.473 0.700 0.000
Ca7 Ca 0.800 0.973 0.500
Ca8 Ca 0.200 0.027 0.500
Ca9 Ca 0.300 0.527 0.000
Ca10 Ca 0.700 0.473 0.000
Ca11 Ca 0.657 0.657 0.500
Ca12 Ca 0.343 0.343 0.500
Ca13 Ca 0.843 0.157 0.000
Ca14 Ca 0.157 0.843 0.000
Ca15 Ca 0.373 0.904 0.500
Ca16 Ca 0.627 0.096 0.500
Ca17 Ca 0.127 0.404 0.000
Ca18 Ca 0.873 0.596 0.000
Ca19 Ca 0.904 0.373 0.500
Ca20 Ca 0.096 0.627 0.500
Ca21 Ca 0.404 0.127 0.000
Ca22 Ca 0.596 0.873 0.000
Cr1 Cr 0.303 0.697 0.500
Cr2 Cr 0.697 0.303 0.500
Cr3 Cr 0.197 0.197 0.000
Cr4 Cr 0.803 0.803 0.000
N1 N 0.081 0.919 0.500
N2 N 0.919 0.081 0.500
N3 N 0.419 0.419 0.000
N4 N 0.581 0.581 0.000
N5 N 0.491 0.187 0.500
N6 N 0.509 0.813 0.500
N7 N 0.009 0.687 0.000
N8 N 0.991 0.313 0.000
N9 N 0.187 0.491 0.500
N10 N 0.813 0.509 0.500
N11 N 0.687 0.009 0.000
N12 N 0.313 0.991 0.000
N13 N 0.223 0.777 0.500
N14 N 0.777 0.223 0.500
N15 N 0.277 0.277 0.000
N16 N 0.723 0.723 0.000
N17 N 0.385 0.615 0.500
N18 N 0.615 0.385 0.500
N19 N 0.115 0.115 0.000
N20 N 0.885 0.885 0.000